No. 1
The following is a PBE calculation of an optimized crystal structure of Li3Nb, from the Materials Project.

Results
The value obtained for the total energy is -13.03 eV per formula unit. The volume is 16.0 A^3/atom. As for the mass density: 2.95 Mg/m³. As for the space group: Fm-3m. The magnetization comes out at 0.038 μB per atom. Its distance to the lowest polymorph of the same formula is 0.017 eV per atom. The calculation puts the formation enthalpy at 0 K at 67 kJ/mol of atoms.

Cell and atoms, written as POSCAR:
```
Li3Nb
1.0
0.000 3.175 3.175
3.175 0.000 3.175
3.175 3.175 0.000
Li Nb
3 1
Cartesian
0.000 0.000 0.000 Li
1.588 1.588 1.588 Li
4.763 4.763 4.763 Li
3.175 3.175 3.175 Nb
```

No. 2
The following is a PBE calculation of an optimized crystal structure of HfMg6BO7, from the Materials Project.

Results
The value obtained for the total energy is -89.69 eV per formula unit. The volume is 11.9 A^3/atom. As for the mass density: 4.15 Mg/m³. As for the space group: P4mm. The magnetization comes out at 0.046 μB per atom. Its distance to the lowest polymorph of the same formula is 0.152 eV per atom. The MP2020-corrected energy is -6.300 eV per atom. The calculation puts the formation enthalpy at 0 K at -216 kJ/mol of atoms.

Cell and atoms, written as POSCAR:
```
HfMg6BO7
1.0
4.176 0.000 0.000
0.000 4.176 0.000
0.000 0.000 10.250
Hf Mg B O
1 6 1 7
Cartesian
0.000 0.000 0.000 Hf
0.000 2.088 2.740 Mg
0.000 2.088 7.065 Mg
2.088 0.000 2.740 Mg
2.088 0.000 7.065 Mg
2.088 2.088 0.516 Mg
2.088 2.088 4.853 Mg
0.000 0.000 5.292 B
0.000 0.000 2.223 O
0.000 0.000 8.276 O
0.000 2.088 0.280 O
0.000 2.088 4.780 O
2.088 0.000 0.280 O
2.088 0.000 4.780 O
2.088 2.088 2.555 O
```

No. 3
The following is a PBE calculation of an optimized crystal structure of MgZn, from the Materials Project.

Results
The value obtained for the total energy is -2.89 eV per formula unit. The volume is 18.5 A^3/atom. As for the mass density: 4.03 Mg/m³. As for the space group: P-6m2. The magnetization comes out at 0.001 μB per atom. The calculation puts the formation enthalpy at 0 K at -1 kJ/mol of atoms.

Cell and atoms, written as POSCAR:
```
MgZn
1.0
3.064 0.000 0.000
-1.532 2.653 0.000
0.000 0.000 4.545
Mg Zn
1 1
Cartesian
0.000 0.000 0.000 Mg
1.532 0.884 2.273 Zn
```

No. 4
The following is a PBE calculation of an optimized crystal structure of Cu2PO4, from the Materials Project.

Results
The value obtained for the total energy is -42.85 eV per formula unit. The volume is 12.1 A^3/atom. As for the mass density: 4.34 Mg/m³. As for the space group: P-1. The MP2020-corrected energy is -6.514 eV per atom. The calculation puts the formation enthalpy at 0 K at -168 kJ/mol of atoms.

Cell and atoms, written as POSCAR:
```
Cu2PO4
1.0
6.051 0.000 0.000
1.169 6.232 0.000
0.937 2.471 9.016
Cu P O
8 4 16
Cartesian
0.491 1.238 2.077 Cu
1.986 3.194 4.241 Cu
3.624 3.269 7.619 Cu
4.249 5.979 7.806 Cu
3.908 2.725 1.210 Cu
4.533 5.434 1.397 Cu
6.171 5.509 4.775 Cu
7.666 7.466 6.939 Cu
1.685 4.650 1.039 P
3.155 6.255 4.522 P
5.001 2.449 4.494 P
6.472 4.053 7.977 P
1.801 3.644 7.497 O
2.012 5.212 4.310 O
2.648 6.802 8.513 O
1.616 1.307 3.686 O
2.216 3.385 1.782 O
2.678 5.863 1.300 O
3.243 6.647 6.022 O
3.699 3.014 5.056 O
4.458 5.690 3.959 O
4.914 2.056 2.994 O
5.478 2.841 7.716 O
5.941 5.319 7.234 O
6.541 7.397 5.330 O
5.509 1.902 0.503 O
6.145 3.492 4.706 O
6.356 5.060 1.519 O
```